DFT (PBE-GGA) results for a relaxed structure of ZnSO10.

```
ZnSO10
1.0
4.226 -3.188 0.000
4.226 3.188 0.000
-1.889 0.000 24.153
Zn S O
4 4 40
Direct
0.000 0.000 0.000
0.000 0.000 0.500
0.076 0.924 0.750
0.924 0.076 0.250
0.324 0.383 0.114
0.383 0.324 0.614
0.617 0.676 0.386
0.676 0.617 0.886
0.028 0.677 0.274
0.036 0.511 0.106
0.086 0.575 0.783
0.095 0.374 0.622
0.127 0.847 0.927
0.130 0.601 0.462
0.131 0.254 0.301
0.153 0.873 0.573
0.201 0.261 0.983
0.254 0.131 0.801
0.261 0.201 0.483
0.323 0.972 0.226
0.374 0.095 0.122
0.399 0.870 0.038
0.416 0.450 0.561
0.425 0.914 0.717
0.432 0.508 0.162
0.450 0.416 0.061
0.489 0.964 0.394
0.492 0.568 0.338
0.508 0.432 0.662
0.511 0.036 0.606
0.550 0.584 0.939
0.568 0.492 0.838
0.575 0.086 0.283
0.584 0.550 0.439
0.601 0.130 0.962
0.626 0.905 0.878
0.677 0.028 0.774
0.739 0.799 0.517
0.746 0.869 0.199
0.799 0.739 0.017
0.847 0.127 0.427
0.869 0.746 0.699
0.870 0.399 0.538
0.873 0.153 0.073
0.905 0.626 0.378
0.914 0.425 0.217
0.964 0.489 0.894
0.972 0.323 0.726
```

Values from the calculation:
E_form ... -0.052 eV per atom
Space group ... C2/c, No. 15